# 1
An optimized crystal structure of Er12In3Fe2. Source: the Materials Project database, functional GGA-PBE.

Cell and atoms, written as CIF:
```
data_Er12In3Fe2
_space_group_name_H-M_alt 'I 4/m m m'
_space_group_IT_number 139
_space_group_name_Hall '-I 4 2'
_cell_length_a 9.476
_cell_length_b 9.476
_cell_length_c 9.733
_cell_angle_alpha 90.00
_cell_angle_beta 90.00
_cell_angle_gamma 90.00
loop_
_atom_site_label
_atom_site_type_symbol
_atom_site_fract_x
_atom_site_fract_y
_atom_site_fract_z
_atom_site_occupancy
Er1 Er 0.000 0.248 0.207 1
Er2 Er 0.194 0.194 0.500 1
In1 In 0.000 0.000 0.000 1
In2 In 0.000 0.500 0.000 1
Fe1 Fe 0.000 0.000 0.388 1
```

# 2
An optimized crystal structure of ErTiFe11N. Source: the Materials Project database, functional GGA-PBE.

Cell and atoms, written as CIF:
```
data_ErTiFe11N
_space_group_name_H-M_alt 'I m m 2'
_space_group_IT_number 44
_cell_length_a 4.778
_cell_length_b 8.618
_cell_length_c 8.547
_cell_angle_alpha 90.00
_cell_angle_beta 90.00
_cell_angle_gamma 90.00
loop_
_space_group_symop_operation_xyz
'x,y,z'
'-x,-y,z'
'-x,y,z'
'x,-y,z'
'x+1/2,y+1/2,z+1/2'
'-x+1/2,-y+1/2,z+1/2'
'-x+1/2,y+1/2,z+1/2'
'x+1/2,-y+1/2,z+1/2'
loop_
_atom_site_label
_atom_site_type_symbol
_atom_site_fract_x
_atom_site_fract_y
_atom_site_fract_z
_atom_site_occupancy
Er1 Er 0.000 0.000 0.000 1
Ti1 Ti 0.000 0.000 0.372 1
Fe1 Fe 0.000 0.000 0.650 1
Fe2 Fe 0.000 0.277 0.509 1
Fe3 Fe 0.000 0.359 0.007 1
Fe4 Fe 0.000 0.500 0.281 1
Fe5 Fe 0.000 0.500 0.729 1
Fe6 Fe 0.249 0.248 0.756 1
N1 N 0.000 0.500 0.505 1
```

# 3
An optimized crystal structure of ErV2Fe10N. Source: the Materials Project database, functional GGA-PBE.

Cell and atoms, written as CIF:
```
data_ErV2Fe10N
_space_group_name_H-M_alt 'I m m m'
_space_group_IT_number 71
_space_group_name_Hall '-I 2 2'
_cell_length_a 4.710
_cell_length_b 8.555
_cell_length_c 8.578
_cell_angle_alpha 90.00
_cell_angle_beta 90.00
_cell_angle_gamma 90.00
loop_
_atom_site_label
_atom_site_type_symbol
_atom_site_fract_x
_atom_site_fract_y
_atom_site_fract_z
_atom_site_occupancy
Er1 Er 0.000 0.000 0.000 1
V1 V 0.000 0.357 0.000 1
Fe1 Fe 0.000 0.000 0.360 1
Fe2 Fe 0.000 0.277 0.500 1
Fe3 Fe 0.000 0.500 0.275 1
Fe4 Fe 0.250 0.250 0.250 1
N1 N 0.000 0.500 0.500 1
```

# 4
An optimized crystal structure of NdErFe17. Source: the Materials Project database, functional GGA-PBE.

Cell and atoms, written as CIF:
```
data_NdErFe17
_space_group_name_H-M_alt 'P 63/m m c'
_space_group_IT_number 194
_space_group_name_Hall '-P 6c 2c'
_cell_length_a 8.5221
_cell_length_b 8.5221
_cell_length_c 8.2732
_cell_angle_alpha 90.00
_cell_angle_beta 90.00
_cell_angle_gamma 120.00
loop_
_atom_site_label
_atom_site_type_symbol
_atom_site_fract_x
_atom_site_fract_y
_atom_site_fract_z
_atom_site_occupancy
Nd1 Nd 0.3333 0.6667 0.2500 1
Er1 Er 0.0000 0.0000 0.2500 1
Fe1 Fe 0.0000 0.5000 0.0000 1
Fe2 Fe 0.0417 0.3694 0.7500 1
Fe3 Fe 0.1648 0.3295 0.0148 1
Fe4 Fe 0.3333 0.6667 0.6073 1
```

As for the energy above the most stable polymorph in this dataset: 2 meV per atom.

# 5
An optimized crystal structure of NdErFe17. Source: the Materials Project database, functional GGA-PBE.

Cell and atoms, written as CIF:
```
data_NdErFe17
_space_group_name_H-M_alt 'R 3 m'
_space_group_IT_number 160
_space_group_name_Hall 'R 3 -2"'
_cell_length_a 8.5135
_cell_length_b 8.5135
_cell_length_c 12.4245
_cell_angle_alpha 90.00
_cell_angle_beta 90.00
_cell_angle_gamma 120.00
loop_
_atom_site_label
_atom_site_type_symbol
_atom_site_fract_x
_atom_site_fract_y
_atom_site_fract_z
_atom_site_occupancy
Nd1 Nd 0.0000 0.0000 0.0000 1
Er1 Er 0.0000 0.0000 0.6842 1
Fe1 Fe 0.0000 0.0000 0.2463 1
Fe2 Fe 0.0000 0.0000 0.4403 1
Fe3 Fe 0.9998 0.4999 0.4990 1
Fe4 Fe 0.0013 0.2924 0.3428 1
Fe5 Fe 0.0017 0.5008 0.1859 1
Fe6 Fe 0.1672 0.3343 0.1764 1
```

As for the energy above the most stable polymorph in this dataset: 0 meV per atom.

# 6
An optimized crystal structure of Nd3ErFe34. Source: the Materials Project database, functional GGA-PBE.

Cell and atoms, written as CIF:
```
data_Nd3ErFe34
_space_group_name_H-M_alt 'C 1 m 1'
_space_group_IT_number 8
_cell_length_a 9.614
_cell_length_b 8.484
_cell_length_c 12.809
_cell_angle_alpha 90.00
_cell_angle_beta 99.33
_cell_angle_gamma 90.00
loop_
_space_group_symop_operation_xyz
'x,y,z'
'x,-y,z'
'x+1/2,y+1/2,z'
'x+1/2,-y+1/2,z'
loop_
_atom_site_label
_atom_site_type_symbol
_atom_site_fract_x
_atom_site_fract_y
_atom_site_fract_z
_atom_site_occupancy
Nd1 Nd 0.000 0.000 0.000 1
Nd2 Nd 0.001 0.000 0.498 1
Nd3 Nd 0.316 0.000 0.841 1
Er1 Er 0.316 0.000 0.342 1
Fe1 Fe 0.000 0.000 0.746 1
Fe2 Fe 0.004 0.000 0.250 1
Fe3 Fe 0.014 0.355 0.026 1
Fe4 Fe 0.014 0.366 0.528 1
Fe5 Fe 0.061 0.500 0.221 1
Fe6 Fe 0.063 0.251 0.840 1
Fe7 Fe 0.064 0.254 0.344 1
Fe8 Fe 0.064 0.500 0.720 1
Fe9 Fe 0.157 0.213 0.667 1
Fe10 Fe 0.157 0.500 0.422 1
Fe11 Fe 0.159 0.208 0.173 1
Fe12 Fe 0.159 0.500 0.921 1
Fe13 Fe 0.252 0.252 0.000 1
Fe14 Fe 0.254 0.253 0.499 1
Fe15 Fe 0.255 0.500 0.124 1
Fe16 Fe 0.256 0.500 0.624 1
Fe17 Fe 0.302 0.355 0.316 1
Fe18 Fe 0.303 0.354 0.815 1
Fe19 Fe 0.316 0.000 0.096 1
Fe20 Fe 0.318 0.000 0.591 1
Fe21 Fe 0.408 0.248 0.669 1
Fe22 Fe 0.409 0.249 0.173 1
```

# 7
An optimized crystal structure of ErFeNi. Source: the Materials Project database, functional GGA-PBE.

Cell and atoms, written as CIF:
```
data_ErFeNi
_space_group_name_H-M_alt 'I m m a'
_space_group_IT_number 74
_space_group_name_Hall '-I 2b 2'
_cell_length_a 4.888
_cell_length_b 5.169
_cell_length_c 7.313
_cell_angle_alpha 90.00
_cell_angle_beta 90.00
_cell_angle_gamma 90.00
loop_
_atom_site_label
_atom_site_type_symbol
_atom_site_fract_x
_atom_site_fract_y
_atom_site_fract_z
_atom_site_occupancy
Er1 Er 0.000 0.250 0.122 1
Fe1 Fe 0.250 0.250 0.750 1
Ni1 Ni 0.000 0.000 0.500 1
```

# 8
An optimized crystal structure of ErFe5P3. Source: the Materials Project database, functional GGA-PBE.

Cell and atoms, written as CIF:
```
data_ErFe5P3
_space_group_name_H-M_alt 'P n m a'
_space_group_IT_number 62
_cell_length_a 11.772
_cell_length_b 3.636
_cell_length_c 10.234
_cell_angle_alpha 90.00
_cell_angle_beta 90.00
_cell_angle_gamma 90.00
loop_
_space_group_symop_operation_xyz
'x,y,z'
'-x,-y,-z'
'-x+1/2,-y,z+1/2'
'x+1/2,y,-z+1/2'
'x+1/2,-y+1/2,-z+1/2'
'-x+1/2,y+1/2,z+1/2'
'-x,y+1/2,-z'
'x,-y+1/2,z'
loop_
_atom_site_label
_atom_site_type_symbol
_atom_site_fract_x
_atom_site_fract_y
_atom_site_fract_z
_atom_site_occupancy
Er1 Er 0.205 0.250 0.081 1
Fe1 Fe 0.010 0.750 0.095 1
Fe2 Fe 0.012 0.750 0.708 1
Fe3 Fe 0.067 0.750 0.464 1
Fe4 Fe 0.176 0.250 0.780 1
Fe5 Fe 0.201 0.250 0.377 1
P1 P 0.104 0.750 0.899 1
P2 P 0.113 0.250 0.579 1
P3 P 0.129 0.750 0.265 1
```

# 9
An optimized crystal structure of Er6FeSb2. Source: the Materials Project database, functional GGA-PBE.

Cell and atoms, written as CIF:
```
data_Er6FeSb2
_space_group_name_H-M_alt 'P -6 2 m'
_space_group_IT_number 189
_space_group_name_Hall 'P -6 -2'
_cell_length_a 8.1459
_cell_length_b 8.1459
_cell_length_c 4.1081
_cell_angle_alpha 90.00
_cell_angle_beta 90.00
_cell_angle_gamma 120.00
loop_
_atom_site_label
_atom_site_type_symbol
_atom_site_fract_x
_atom_site_fract_y
_atom_site_fract_z
_atom_site_occupancy
Er1 Er 0.0000 0.2357 0.0000 1
Er2 Er 0.0000 0.6068 0.5000 1
Fe1 Fe 0.0000 0.0000 0.5000 1
Sb1 Sb 0.3333 0.6667 0.0000 1
```

# 10
An optimized crystal structure of Er2FeSi4. Source: the Materials Project database, functional GGA-PBE.

Cell and atoms, written as CIF:
```
data_Er2FeSi4
_space_group_name_H-M_alt 'A m m 2'
_space_group_IT_number 38
_cell_length_a 3.961
_cell_length_b 3.992
_cell_length_c 15.989
_cell_angle_alpha 90.00
_cell_angle_beta 90.00
_cell_angle_gamma 90.00
loop_
_space_group_symop_operation_xyz
'x,y,z'
'-x,-y,z'
'-x,y,z'
'x,-y,z'
'x,y+1/2,z+1/2'
'-x,-y+1/2,z+1/2'
'-x,y+1/2,z+1/2'
'x,-y+1/2,z+1/2'
loop_
_atom_site_label
_atom_site_type_symbol
_atom_site_fract_x
_atom_site_fract_y
_atom_site_fract_z
_atom_site_occupancy
Er1 Er 0.000 0.000 0.000 1
Er2 Er 0.500 0.000 0.216 1
Fe1 Fe 0.000 0.000 0.357 1
Si1 Si 0.000 0.000 0.645 1
Si2 Si 0.000 0.000 0.798 1
Si3 Si 0.500 0.000 0.414 1
Si4 Si 0.500 0.000 0.564 1
```

As for the energy above the most stable polymorph in this dataset: 91 meV per atom.

# 11
An optimized crystal structure of Er2FeSi2. Source: the Materials Project database, functional GGA-PBE.

Cell and atoms, written as CIF:
```
data_Er2FeSi2
_space_group_name_H-M_alt 'C 1 2/m 1'
_space_group_IT_number 12
_cell_length_a 10.384
_cell_length_b 4.117
_cell_length_c 9.875
_cell_angle_alpha 90.00
_cell_angle_beta 119.12
_cell_angle_gamma 90.00
loop_
_space_group_symop_operation_xyz
'x,y,z'
'-x,-y,-z'
'-x,y,-z'
'x,-y,z'
'x+1/2,y+1/2,z'
'-x+1/2,-y+1/2,-z'
'-x+1/2,y+1/2,-z'
'x+1/2,-y+1/2,z'
loop_
_atom_site_label
_atom_site_type_symbol
_atom_site_fract_x
_atom_site_fract_y
_atom_site_fract_z
_atom_site_occupancy
Er1 Er 0.001 0.000 0.172 1
Er2 Er 0.188 0.000 0.609 1
Fe1 Fe 0.229 0.500 0.875 1
Si1 Si 0.001 0.500 0.374 1
Si2 Si 0.153 0.500 0.064 1
```

# 12
An optimized crystal structure of ErFe10Si2. Source: the Materials Project database, functional GGA-PBE.

Cell and atoms, written as CIF:
```
data_ErFe10Si2
_space_group_name_H-M_alt 'I m m m'
_space_group_IT_number 71
_space_group_name_Hall '-I 2 2'
_cell_length_a 4.748
_cell_length_b 8.278
_cell_length_c 8.330
_cell_angle_alpha 90.00
_cell_angle_beta 90.00
_cell_angle_gamma 90.00
loop_
_atom_site_label
_atom_site_type_symbol
_atom_site_fract_x
_atom_site_fract_y
_atom_site_fract_z
_atom_site_occupancy
Er1 Er 0.000 0.000 0.000 1
Fe1 Fe 0.000 0.000 0.361 1
Fe2 Fe 0.000 0.291 0.500 1
Fe3 Fe 0.000 0.354 0.000 1
Fe4 Fe 0.250 0.250 0.250 1
Si1 Si 0.000 0.500 0.267 1
```

| no. | E_form (kJ/mol of formula units) |
| --- | --- |
| 1 | -355 |
| 2 | -285 |
| 3 | -261 |
| 4 | 32 |
| 5 | 28 |
| 6 | 134 |
| 7 | -77 |
| 8 | -650 |
| 9 | -519 |
| 10 | -323 |
| 11 | -333 |
| 12 | -306 |